(1)
# r2SCAN TbSmRh2, relaxed
# formation energy = -832 meV per atom
data_TbSmRh2
_cell_length_a 4.882
_cell_length_b 4.882
_cell_length_c 4.882
_cell_angle_alpha 60.00
_cell_angle_beta 60.00
_cell_angle_gamma 60.00
_space_group_name_H-M_alt 'P 1'
_space_group_IT_number 1
_space_group_name_Hall 'P 1'
loop_
_atom_site_label
_atom_site_fract_x
_atom_site_fract_y
_atom_site_fract_z
Tb1 0.000 0.000 0.000
Sm1 0.500 0.500 0.500
Rh1 0.250 0.250 0.250
Rh2 0.750 0.750 0.750

(2)
# r2SCAN ErPd, relaxed
# formation energy = -960 meV per atom
data_ErPd
_cell_length_a 3.453
_cell_length_b 3.453
_cell_length_c 3.453
_cell_angle_alpha 90.00
_cell_angle_beta 90.00
_cell_angle_gamma 90.00
_space_group_name_H-M_alt 'P 1'
_space_group_IT_number 1
_space_group_name_Hall 'P 1'
loop_
_atom_site_label
_atom_site_fract_x
_atom_site_fract_y
_atom_site_fract_z
Er1 0.000 0.000 0.000
Pd1 0.500 0.500 0.500

(3)
# r2SCAN NiF3, relaxed
# formation energy = -1919 meV per atom
data_NiF3
_cell_length_a 5.119
_cell_length_b 5.119
_cell_length_c 5.119
_cell_angle_alpha 55.32
_cell_angle_beta 55.32
_cell_angle_gamma 55.32
_space_group_name_H-M_alt 'P 1'
_space_group_IT_number 1
_space_group_name_Hall 'P 1'
loop_
_atom_site_label
_atom_site_fract_x
_atom_site_fract_y
_atom_site_fract_z
Ni1 0.000 0.000 0.000
Ni2 0.500 0.500 0.500
F1 0.119 0.739 0.400
F2 0.261 0.600 0.881
F3 0.400 0.119 0.739
F4 0.600 0.881 0.261
F5 0.739 0.400 0.119
F6 0.881 0.261 0.600

(4)
# r2SCAN Cs2ZrI6, relaxed
# formation energy = -1473 meV per atom
data_Cs2ZrI6
_cell_length_a 8.334
_cell_length_b 8.334
_cell_length_c 8.334
_cell_angle_alpha 60.00
_cell_angle_beta 60.00
_cell_angle_gamma 60.00
_space_group_name_H-M_alt 'P 1'
_space_group_IT_number 1
_space_group_name_Hall 'P 1'
loop_
_atom_site_label
_atom_site_fract_x
_atom_site_fract_y
_atom_site_fract_z
Cs1 0.250 0.250 0.250
Cs2 0.750 0.750 0.750
Zr1 0.000 0.000 0.000
I1 0.244 0.244 0.756
I2 0.244 0.756 0.244
I3 0.244 0.756 0.756
I4 0.756 0.244 0.244
I5 0.756 0.244 0.756
I6 0.756 0.756 0.244

(5)
# r2SCAN MnSiO3, relaxed
# formation energy = -2645 meV per atom
data_MnSiO3
_cell_length_a 6.692
_cell_length_b 7.611
_cell_length_c 11.853
_cell_angle_alpha 105.50
_cell_angle_beta 92.44
_cell_angle_gamma 94.38
_space_group_name_H-M_alt 'P 1'
_space_group_IT_number 1
_space_group_name_Hall 'P 1'
loop_
_atom_site_label
_atom_site_fract_x
_atom_site_fract_y
_atom_site_fract_z
Mn1 0.028 0.122 0.147
Mn2 0.128 0.317 0.445
Mn3 0.185 0.510 0.730
Mn4 0.204 0.701 0.028
Mn5 0.345 0.966 0.294
Mn6 0.655 0.034 0.706
Mn7 0.796 0.299 0.972
Mn8 0.815 0.490 0.270
Mn9 0.872 0.683 0.555
Mn10 0.972 0.878 0.853
Si1 0.151 0.077 0.654
Si2 0.245 0.256 0.910
Si3 0.299 0.548 0.266
Si4 0.363 0.740 0.534
Si5 0.496 0.222 0.123
Si6 0.504 0.778 0.877
Si7 0.637 0.260 0.466
Si8 0.701 0.452 0.734
Si9 0.755 0.744 0.090
Si10 0.849 0.923 0.346
O1 0.043 0.045 0.320
O2 0.057 0.156 0.960
O3 0.105 0.253 0.610
O4 0.109 0.404 0.269
O5 0.187 0.454 0.904
O6 0.195 0.599 0.566
O7 0.261 0.697 0.195
O8 0.266 0.801 0.870
O9 0.284 0.946 0.560
O10 0.297 0.141 0.777
O11 0.338 0.067 0.144
O12 0.390 0.676 0.394
O13 0.418 0.231 0.399
O14 0.448 0.258 0.993
O15 0.484 0.425 0.217
O16 0.516 0.575 0.783
O17 0.552 0.742 0.007
O18 0.582 0.769 0.601
O19 0.610 0.324 0.606
O20 0.662 0.933 0.856
O21 0.703 0.859 0.223
O22 0.716 0.054 0.440
O23 0.734 0.199 0.130
O24 0.739 0.303 0.805
O25 0.805 0.401 0.434
O26 0.813 0.546 0.096
O27 0.891 0.596 0.731
O28 0.895 0.747 0.390
O29 0.943 0.844 0.040
O30 0.957 0.955 0.680

(6)
# r2SCAN K3NpH6O8, relaxed
# formation energy = -1789 meV per atom
data_K3NpH6O8
_cell_length_a 7.798
_cell_length_b 8.313
_cell_length_c 7.682
_cell_angle_alpha 90.00
_cell_angle_beta 119.41
_cell_angle_gamma 90.00
_space_group_name_H-M_alt 'P 1'
_space_group_IT_number 1
_space_group_name_Hall 'P 1'
loop_
_atom_site_label
_atom_site_fract_x
_atom_site_fract_y
_atom_site_fract_z
K1 0.000 0.000 0.000
K2 0.000 0.500 0.500
K3 0.414 0.194 0.459
K4 0.414 0.306 0.959
K5 0.586 0.694 0.041
K6 0.586 0.806 0.541
Np1 0.000 0.000 0.500
Np2 0.000 0.500 0.000
H1 0.192 0.717 0.334
H2 0.192 0.783 0.834
H3 0.363 0.539 0.546
H4 0.363 0.961 0.046
H5 0.428 0.539 0.304
H6 0.428 0.961 0.804
H7 0.572 0.039 0.196
H8 0.572 0.461 0.696
H9 0.637 0.039 0.954
H10 0.637 0.461 0.454
H11 0.808 0.217 0.166
H12 0.808 0.283 0.666
O1 0.136 0.196 0.579
O2 0.136 0.304 0.079
O3 0.171 0.569 0.902
O4 0.171 0.931 0.402
O5 0.222 0.605 0.320
O6 0.222 0.895 0.820
O7 0.448 0.501 0.687
O8 0.448 0.999 0.187
O9 0.552 0.001 0.813
O10 0.552 0.499 0.313
O11 0.778 0.105 0.180
O12 0.778 0.395 0.680
O13 0.829 0.069 0.598
O14 0.829 0.431 0.098
O15 0.864 0.696 0.921
O16 0.864 0.804 0.421

(7)
# r2SCAN Dy2ZnAg, relaxed
# formation energy = -350 meV per atom
data_Dy2ZnAg
_cell_length_a 5.068
_cell_length_b 5.068
_cell_length_c 5.068
_cell_angle_alpha 60.00
_cell_angle_beta 60.00
_cell_angle_gamma 60.00
_space_group_name_H-M_alt 'P 1'
_space_group_IT_number 1
_space_group_name_Hall 'P 1'
loop_
_atom_site_label
_atom_site_fract_x
_atom_site_fract_y
_atom_site_fract_z
Dy1 0.250 0.250 0.250
Dy2 0.750 0.750 0.750
Zn1 0.000 0.000 0.000
Ag1 0.500 0.500 0.500

(8)
# r2SCAN TbGa2Ni, relaxed
# formation energy = -699 meV per atom
data_TbGa2Ni
_cell_length_a 5.488
_cell_length_b 5.488
_cell_length_c 6.619
_cell_angle_alpha 90.00
_cell_angle_beta 90.00
_cell_angle_gamma 136.56
_space_group_name_H-M_alt 'P 1'
_space_group_IT_number 1
_space_group_name_Hall 'P 1'
loop_
_atom_site_label
_atom_site_fract_x
_atom_site_fract_y
_atom_site_fract_z
Tb1 0.068 0.932 0.750
Tb2 0.932 0.068 0.250
Ga1 0.350 0.650 0.555
Ga2 0.350 0.650 0.945
Ga3 0.650 0.350 0.055
Ga4 0.650 0.350 0.445
Ni1 0.212 0.788 0.250
Ni2 0.788 0.212 0.750

(9)
# r2SCAN Cs3Tl2Br9, relaxed
# formation energy = -1282 meV per atom
# excess energy over the best structure of this formula in the dataset = 0 meV/atom
data_Cs3Tl2Br9
_cell_length_a 9.754
_cell_length_b 7.876
_cell_length_c 14.065
_cell_angle_alpha 90.00
_cell_angle_beta 92.99
_cell_angle_gamma 90.00
_space_group_name_H-M_alt 'P 1'
_space_group_IT_number 1
_space_group_name_Hall 'P 1'
loop_
_atom_site_label
_atom_site_fract_x
_atom_site_fract_y
_atom_site_fract_z
Cs1 0.027 0.000 0.228
Cs2 0.328 0.002 0.923
Cs3 0.367 0.500 0.386
Cs4 0.633 0.000 0.614
Cs5 0.672 0.502 0.077
Cs6 0.973 0.500 0.772
Tl1 0.195 0.501 0.086
Tl2 0.199 0.004 0.572
Tl3 0.801 0.504 0.428
Tl4 0.805 0.001 0.914
Br1 0.000 0.251 0.000
Br2 0.000 0.751 0.000
Br3 0.027 0.500 0.235
Br4 0.042 0.535 0.509
Br5 0.297 0.746 0.668
Br6 0.301 0.260 0.669
Br7 0.314 0.501 0.919
Br8 0.347 0.999 0.418
Br9 0.350 0.756 0.161
Br10 0.351 0.246 0.161
Br11 0.649 0.746 0.839
Br12 0.650 0.256 0.839
Br13 0.653 0.499 0.582
Br14 0.686 0.001 0.081
Br15 0.699 0.760 0.331
Br16 0.703 0.246 0.332
Br17 0.958 0.035 0.491
Br18 0.973 0.000 0.765

(10)
# r2SCAN YbB2C, relaxed
# formation energy = -661 meV per atom
data_YbB2C
_cell_length_a 6.729
_cell_length_b 6.729
_cell_length_c 7.219
_cell_angle_alpha 90.00
_cell_angle_beta 90.00
_cell_angle_gamma 90.00
_space_group_name_H-M_alt 'P 1'
_space_group_IT_number 1
_space_group_name_Hall 'P 1'
loop_
_atom_site_label
_atom_site_fract_x
_atom_site_fract_y
_atom_site_fract_z
Yb1 0.191 0.309 0.250
Yb2 0.191 0.309 0.750
Yb3 0.309 0.809 0.250
Yb4 0.309 0.809 0.750
Yb5 0.691 0.191 0.250
Yb6 0.691 0.191 0.750
Yb7 0.809 0.691 0.250
Yb8 0.809 0.691 0.750
B1 0.034 0.847 0.000
B2 0.093 0.597 0.000
B3 0.097 0.593 0.500
B4 0.153 0.034 0.500
B5 0.347 0.534 0.500
B6 0.403 0.093 0.500
B7 0.407 0.097 0.000
B8 0.466 0.347 0.000
B9 0.534 0.653 0.000
B10 0.593 0.903 0.000
B11 0.597 0.907 0.500
B12 0.653 0.466 0.500
B13 0.847 0.966 0.500
B14 0.903 0.407 0.500
B15 0.907 0.403 0.000
B16 0.966 0.153 0.000
C1 0.040 0.822 0.500
C2 0.178 0.040 0.000
C3 0.322 0.540 0.000
C4 0.460 0.322 0.500
C5 0.540 0.678 0.500
C6 0.678 0.460 0.000
C7 0.822 0.960 0.000
C8 0.960 0.178 0.500

(11)
# r2SCAN PdPbO2, relaxed
# formation energy = -949 meV per atom
data_PdPbO2
_cell_length_a 5.957
_cell_length_b 5.957
_cell_length_c 5.957
_cell_angle_alpha 125.28
_cell_angle_beta 74.52
_cell_angle_gamma 133.57
_space_group_name_H-M_alt 'P 1'
_space_group_IT_number 1
_space_group_name_Hall 'P 1'
loop_
_atom_site_label
_atom_site_fract_x
_atom_site_fract_y
_atom_site_fract_z
Pd1 0.000 0.000 0.000
Pd2 0.500 0.000 0.500
Pb1 0.274 0.524 0.750
Pb2 0.726 0.476 0.250
O1 0.150 0.000 0.650
O2 0.150 0.500 0.150
O3 0.850 0.000 0.350
O4 0.850 0.500 0.850

(12)
# r2SCAN Yb4Ni, relaxed
# formation energy = 239 meV per atom
data_Yb4Ni
_cell_length_a 7.356
_cell_length_b 7.356
_cell_length_c 7.356
_cell_angle_alpha 60.00
_cell_angle_beta 60.00
_cell_angle_gamma 60.00
_space_group_name_H-M_alt 'P 1'
_space_group_IT_number 1
_space_group_name_Hall 'P 1'
loop_
_atom_site_label
_atom_site_fract_x
_atom_site_fract_y
_atom_site_fract_z
Yb1 0.216 0.761 0.761
Yb2 0.239 0.239 0.239
Yb3 0.239 0.239 0.784
Yb4 0.239 0.784 0.239
Yb5 0.761 0.216 0.761
Yb6 0.761 0.761 0.216
Yb7 0.761 0.761 0.761
Yb8 0.784 0.239 0.239
Ni1 0.375 0.375 0.375
Ni2 0.625 0.625 0.625

> What is the formation energy in the sixth record?

-1789 meV per atom

What did the third record say?
# r2SCAN NiF3, relaxed
# formation energy = -1919 meV per atom
data_NiF3
_cell_length_a 5.119
_cell_length_b 5.119
_cell_length_c 5.119
_cell_angle_alpha 55.32
_cell_angle_beta 55.32
_cell_angle_gamma 55.32
_space_group_name_H-M_alt 'P 1'
_space_group_IT_number 1
_space_group_name_Hall 'P 1'
loop_
_atom_site_label
_atom_site_fract_x
_atom_site_fract_y
_atom_site_fract_z
Ni1 0.000 0.000 0.000
Ni2 0.500 0.500 0.500
F1 0.119 0.739 0.400
F2 0.261 0.600 0.881
F3 0.400 0.119 0.739
F4 0.600 0.881 0.261
F5 0.739 0.400 0.119
F6 0.881 0.261 0.600